Entry 1:
Here is an optimized crystal structure of NaCaGdSeO6 from the Materials Project. Energies are from PBE.

a b c (Å): 8.0529 8.0529 8.0529
angles (deg): 90.00 90.00 90.00
Space group F-43m (No. 216)
Asymmetric unit:
Na1 0.0000 0.0000 0.0000 (multiplicity 4)
Ca1 0.0000 0.0000 0.5000 (multiplicity 4)
Gd1 0.2500 0.2500 0.2500 (multiplicity 4)
Se1 0.2500 0.2500 0.7500 (multiplicity 4)
O1 0.0250 0.2500 0.7500 (multiplicity 24)

Values from the calculation:
- formation energy from the elements (eV/atom) = -2.36
- M_tot (μB/atom) = 0.700
- total DFT energy (no corrections) (eV/cell) = -280.07

=====

Entry 2:
Here is an optimized crystal structure of Sc2IrOs from the Materials Project. Energies are from PBE.

a b c (Å): 6.4483 6.4483 6.4483
angles (deg): 90.00 90.00 90.00
Space group Fm-3m (No. 225)
Asymmetric unit:
Sc1 0.2500 0.2500 0.2500 (multiplicity 8)
Ir1 0.0000 0.0000 0.0000 (multiplicity 4)
Os1 0.0000 0.0000 0.5000 (multiplicity 4)

Values from the calculation:
- formation energy from the elements (eV/atom) = -0.71
- total DFT energy (no corrections) (eV/cell) = -142.34

=====

Entry 3:
Here is an optimized crystal structure of PbS2O3 from the Materials Project. Energies are from PBE.

a b c (Å): 7.0770 16.4351 7.3221
angles (deg): 90.00 90.00 90.00
Space group Pbca (No. 61)
Asymmetric unit:
Pb1 0.1545 0.1230 0.0285 (multiplicity 8)
S1 0.1710 0.1068 0.5008 (multiplicity 8)
S2 0.1960 0.7083 0.3923 (multiplicity 8)
O1 0.0396 0.0766 0.3576 (multiplicity 8)
O2 0.0657 0.1293 0.6671 (multiplicity 8)
O3 0.1741 0.5478 0.5364 (multiplicity 8)

Values from the calculation:
- formation energy from the elements (eV/atom) = -1.41
- M_tot (μB/atom) = 0.000
- total DFT energy (no corrections) (eV/cell) = -265.76

=====

Entry 4:
Here is an optimized crystal structure of Y2O3 from the Materials Project. Energies are from PBE.

a b c (Å): 11.4348 11.5873 12.0599
angles (deg): 85.17 85.53 89.20
Space group P1 (No. 1)
Asymmetric unit:
Y1 0.0000 0.0000 0.0000 (multiplicity 1)
Y2 0.9998 0.4764 0.6554 (multiplicity 1)
Y3 0.0442 0.7734 0.7237 (multiplicity 1)
Y4 0.0550 0.6900 0.4113 (multiplicity 1)
Y5 0.0753 0.7082 0.1529 (multiplicity 1)
Y6 0.0881 0.4913 0.9128 (multiplicity 1)
Y7 0.0929 0.2367 0.4918 (multiplicity 1)
Y8 0.1631 0.2217 0.7960 (multiplicity 1)
Y9 0.1989 0.3437 0.1427 (multiplicity 1)
Y10 0.2145 0.9665 0.1740 (multiplicity 1)
Y11 0.2248 0.9313 0.5318 (multiplicity 1)
Y12 0.2798 0.9474 0.8021 (multiplicity 1)
Y13 0.2955 0.6550 0.6351 (multiplicity 1)
Y14 0.3069 0.4570 0.3843 (multiplicity 1)
Y15 0.3387 0.6352 0.1449 (multiplicity 1)
Y16 0.3550 0.1654 0.9832 (multiplicity 1)
Y17 0.3689 0.1601 0.3156 (multiplicity 1)
Y18 0.3984 0.4611 0.9074 (multiplicity 1)
Y19 0.4198 0.2036 0.5999 (multiplicity 1)
Y20 0.5059 0.9352 0.5865 (multiplicity 1)
Y21 0.5130 0.7261 0.3918 (multiplicity 1)
Y22 0.5155 0.9015 0.1263 (multiplicity 1)
Y23 0.5296 0.7038 0.8184 (multiplicity 1)
Y24 0.5596 0.4989 0.6004 (multiplicity 1)
Y25 0.5716 0.0653 0.8142 (multiplicity 1)
Y26 0.5897 0.3724 0.3214 (multiplicity 1)
Y27 0.6062 0.5739 0.0598 (multiplicity 1)
Y28 0.6215 0.2451 0.0750 (multiplicity 1)
Y29 0.6444 0.0315 0.3454 (multiplicity 1)
Y30 0.7294 0.2492 0.6228 (multiplicity 1)
Y31 0.7594 0.5404 0.8103 (multiplicity 1)
Y32 0.7806 0.7570 0.5484 (multiplicity 1)
Y33 0.7914 0.7556 0.2547 (multiplicity 1)
Y34 0.8552 0.4827 0.4159 (multiplicity 1)
Y35 0.8648 0.2703 0.8742 (multiplicity 1)
Y36 0.8672 0.7335 0.9633 (multiplicity 1)
Y37 0.8700 0.4790 0.1282 (multiplicity 1)
Y38 0.9029 0.2066 0.1924 (multiplicity 1)
Y39 0.9230 0.0276 0.7180 (multiplicity 1)
Y40 0.9820 0.9801 0.3554 (multiplicity 1)
O1 0.0024 0.6075 0.0309 (multiplicity 1)
O2 0.0232 0.3471 0.0959 (multiplicity 1)
O3 0.0284 0.0574 0.1781 (multiplicity 1)
O4 0.0316 0.3574 0.8068 (multiplicity 1)
O5 0.0323 0.4199 0.4867 (multiplicity 1)
O6 0.1102 0.8444 0.2956 (multiplicity 1)
O7 0.1123 0.9701 0.6884 (multiplicity 1)
O8 0.1377 0.7560 0.5507 (multiplicity 1)
O9 0.1457 0.0632 0.4158 (multiplicity 1)
O10 0.1460 0.5604 0.7264 (multiplicity 1)
O11 0.1984 0.0251 0.9671 (multiplicity 1)
O12 0.1983 0.6002 0.2928 (multiplicity 1)
O13 0.2139 0.3063 0.3288 (multiplicity 1)
O14 0.2177 0.2593 0.6171 (multiplicity 1)
O15 0.2424 0.3216 0.9184 (multiplicity 1)
O16 0.2418 0.5097 0.0392 (multiplicity 1)
O17 0.2426 0.7991 0.0975 (multiplicity 1)
O18 0.2468 0.7777 0.7599 (multiplicity 1)
O19 0.2738 0.1654 0.1542 (multiplicity 1)
O20 0.3380 0.0198 0.6324 (multiplicity 1)
O21 0.3830 0.1337 0.8039 (multiplicity 1)
O22 0.3877 0.8069 0.5216 (multiplicity 1)
O23 0.3913 0.9743 0.2393 (multiplicity 1)
O24 0.4193 0.5682 0.4896 (multiplicity 1)
O25 0.4257 0.5671 0.7383 (multiplicity 1)
O26 0.4309 0.3082 0.4303 (multiplicity 1)
O27 0.4343 0.4790 0.2423 (multiplicity 1)
O28 0.4422 0.6414 0.9820 (multiplicity 1)
O29 0.4621 0.3117 0.0105 (multiplicity 1)
O30 0.4693 0.0660 0.4443 (multiplicity 1)
O31 0.4952 0.7213 0.2055 (multiplicity 1)
O32 0.4958 0.8946 0.7823 (multiplicity 1)
O33 0.5294 0.0640 0.0016 (multiplicity 1)
O34 0.5405 0.3243 0.6727 (multiplicity 1)
O35 0.5660 0.1964 0.2497 (multiplicity 1)
O36 0.5912 0.4952 0.8956 (multiplicity 1)
O37 0.5980 0.0980 0.6279 (multiplicity 1)
O38 0.6339 0.8648 0.4630 (multiplicity 1)
O39 0.6559 0.6456 0.6715 (multiplicity 1)
O40 0.6637 0.9073 0.2194 (multiplicity 1)
O41 0.6677 0.4081 0.1460 (multiplicity 1)
O42 0.6876 0.3902 0.4804 (multiplicity 1)
O43 0.6891 0.6389 0.3981 (multiplicity 1)
O44 0.6886 0.7058 0.9113 (multiplicity 1)
O45 0.7539 0.1400 0.7917 (multiplicity 1)
O46 0.7626 0.6449 0.1202 (multiplicity 1)
O47 0.8092 0.1789 0.0475 (multiplicity 1)
O48 0.8138 0.3915 0.7106 (multiplicity 1)
O49 0.8245 0.0906 0.3353 (multiplicity 1)
O50 0.8332 0.4375 0.9553 (multiplicity 1)
O51 0.8507 0.3621 0.2851 (multiplicity 1)
O52 0.8835 0.8655 0.6441 (multiplicity 1)
O53 0.8914 0.8163 0.3933 (multiplicity 1)
O54 0.9112 0.6121 0.5436 (multiplicity 1)
O55 0.9231 0.1750 0.5841 (multiplicity 1)
O56 0.9324 0.8322 0.1084 (multiplicity 1)
O57 0.9326 0.6301 0.8112 (multiplicity 1)
O58 0.9385 0.6117 0.2797 (multiplicity 1)
O59 0.9578 0.8827 0.8707 (multiplicity 1)
O60 0.9973 0.1284 0.8554 (multiplicity 1)

Values from the calculation:
- formation energy from the elements (eV/atom) = -3.74
- M_tot (μB/atom) = 0.000
- total DFT energy (no corrections) (eV/cell) = -888.81

=====

> What is the formula in the first record?

NaCaGdSeO6

=====

> Among the records above, which one has the highest formation energy from the elements?

Sc2IrOs

=====

> total DFT energy (no corrections) of number 2 (Sc2IrOs)?

-142.34 eV/cell

=====

> Which of these has the highest total DFT energy (no corrections)?

Sc2IrOs